First-principles (PBE) data for a relaxed structure of CuB2P2H6O12, as listed in the Materials Project database.

Cell lengths 7.9881, 13.7040, 8.5534 Å; angles 90.00, 90.00, 90.00 degrees
Last column: nearest neighbours and their distance in Å.
Atoms (fractional coordinates):
O (0.3823, 0.3068, 0.3115)  1 B 1.47, 1 P 1.55
O (0.9247, 0.5497, 0.2109)  2 H 0.98
O (0.3640, 0.3855, 0.0369)  1 P 1.52
P (0.9085, 0.2041, 0.8677)  4 O 1.52-1.56
B (0.7554, 0.8244, 0.0781)  4 O 1.46-1.50
O (0.3027, 0.2940, 0.5813)  1 B 1.50, 1 P 1.56
H (0.1266, 0.1146, 0.2915)  1 O 0.98
O (0.7059, 0.0715, 0.5709)  1 H 1.00
P (0.4085, 0.2041, 0.6323)  4 O 1.52-1.56
O (0.1177, 0.6932, 0.8115)  1 B 1.47, 1 P 1.55
O (0.0753, 0.0497, 0.2891)  2 H 0.98
O (0.8640, 0.3855, 0.4631)  1 P 1.52
O (0.3027, 0.2060, 0.0813)  1 B 1.50, 1 P 1.56
P (0.5915, 0.7041, 0.8677)  4 O 1.52-1.56
H (0.6266, 0.3854, 0.7084)  1 O 0.98
H (0.2912, 0.0286, 0.8779)  1 O 1.00
O (0.9247, 0.9503, 0.7109)  2 H 0.98
H (0.6266, 0.1146, 0.2084)  1 O 0.98
Cu (0.0000, 0.0000, 0.0000)  4 O 1.93-2.01
O (0.8027, 0.2940, 0.9187)  1 B 1.50, 1 P 1.56
H (0.2912, 0.4714, 0.3779)  1 O 1.00
O (0.6973, 0.7060, 0.4187)  1 B 1.50, 1 P 1.56
O (0.2941, 0.5715, 0.9291)  1 H 1.00
O (0.6177, 0.6932, 0.6885)  1 B 1.47, 1 P 1.55
P (0.0915, 0.7959, 0.1323)  4 O 1.52-1.56
O (0.8640, 0.1145, 0.9631)  1 P 1.52
O (0.4037, 0.7348, 0.8821)  1 B 1.48, 1 P 1.56
H (0.1266, 0.3854, 0.7916)  1 O 0.98
H (0.4691, 0.0586, 0.1559)  1 O 0.98
B (0.2446, 0.1756, 0.9219)  4 O 1.46-1.50
H (0.3734, 0.6146, 0.2915)  1 O 0.98
O (0.7941, 0.5715, 0.5709)  1 H 1.00
H (0.7912, 0.0286, 0.6221)  1 O 1.00
P (0.5915, 0.7959, 0.3677)  4 O 1.52-1.56
H (0.5309, 0.9414, 0.8441)  1 O 0.98
O (0.1360, 0.8855, 0.0369)  1 P 1.52
O (0.8823, 0.3068, 0.1885)  1 B 1.47, 1 P 1.55
O (0.7059, 0.4285, 0.0709)  1 H 1.00
O (0.0963, 0.2348, 0.8821)  1 B 1.48, 1 P 1.56
O (0.3823, 0.1932, 0.8115)  1 B 1.47, 1 P 1.55
H (0.2088, 0.9714, 0.3779)  1 O 1.00
H (0.7088, 0.9714, 0.1221)  1 O 1.00
O (0.9037, 0.7348, 0.6179)  1 B 1.48, 1 P 1.56
H (0.8734, 0.6146, 0.2084)  1 O 0.98
O (0.6177, 0.8068, 0.1885)  1 B 1.47, 1 P 1.55
O (0.7941, 0.9285, 0.0709)  1 H 1.00
B (0.7554, 0.6756, 0.5781)  4 O 1.46-1.50
P (0.4085, 0.2959, 0.1323)  4 O 1.52-1.56
Cu (0.0000, 0.5000, 0.5000)  4 O 1.93-2.01
H (0.4691, 0.4414, 0.6559)  1 O 0.98
P (0.0915, 0.7041, 0.6323)  4 O 1.52-1.56
O (0.6973, 0.7940, 0.9187)  1 B 1.50, 1 P 1.56
O (0.8823, 0.1932, 0.6885)  1 B 1.47, 1 P 1.55
O (0.6360, 0.8855, 0.4631)  1 P 1.52
H (0.2088, 0.5286, 0.8779)  1 O 1.00
O (0.5963, 0.2348, 0.6179)  1 B 1.48, 1 P 1.56
O (0.1177, 0.8068, 0.3115)  1 B 1.47, 1 P 1.55
O (0.1973, 0.7060, 0.0813)  1 B 1.50, 1 P 1.56
O (0.5753, 0.4503, 0.7109)  2 H 0.98
Cu (0.5000, 0.0000, 0.5000)  4 O 1.93-2.01
O (0.3640, 0.1145, 0.5369)  1 P 1.52
P (0.9085, 0.2959, 0.3677)  4 O 1.52-1.56
H (0.5309, 0.5586, 0.3441)  1 O 0.98
O (0.4037, 0.7652, 0.3821)  1 B 1.48, 1 P 1.56
O (0.2941, 0.9285, 0.4291)  1 H 1.00
O (0.4247, 0.5497, 0.2891)  2 H 0.98
H (0.7912, 0.4714, 0.1221)  1 O 1.00
H (0.9691, 0.0586, 0.3441)  1 O 0.98
O (0.5963, 0.2652, 0.1179)  1 B 1.48, 1 P 1.56
B (0.7446, 0.1756, 0.5781)  4 O 1.46-1.50
O (0.9037, 0.7652, 0.1179)  1 B 1.48, 1 P 1.56
Cu (0.5000, 0.5000, 0.0000)  4 O 1.93-2.01
H (0.7088, 0.5286, 0.6221)  1 O 1.00
H (0.3734, 0.8854, 0.7916)  1 O 0.98
B (0.2554, 0.6756, 0.9219)  4 O 1.46-1.50
H (0.8734, 0.8854, 0.7084)  1 O 0.98
O (0.5753, 0.0497, 0.2109)  2 H 0.98
B (0.7446, 0.3244, 0.0781)  4 O 1.46-1.50
O (0.8027, 0.2060, 0.4187)  1 B 1.50, 1 P 1.56
O (0.2059, 0.0715, 0.9291)  1 H 1.00
O (0.1973, 0.7940, 0.5813)  1 B 1.50, 1 P 1.56
B (0.2446, 0.3244, 0.4219)  4 O 1.46-1.50
H (0.0309, 0.9414, 0.6559)  1 O 0.98
O (0.1360, 0.6145, 0.5369)  1 P 1.52
B (0.2554, 0.8244, 0.4219)  4 O 1.46-1.50
O (0.2059, 0.4285, 0.4291)  1 H 1.00
H (0.0309, 0.5586, 0.1559)  1 O 0.98
O (0.4247, 0.9503, 0.7891)  2 H 0.98
O (0.6360, 0.6145, 0.9631)  1 P 1.52
H (0.9691, 0.4414, 0.8441)  1 O 0.98
O (0.0753, 0.4503, 0.7891)  2 H 0.98
O (0.0963, 0.2652, 0.3821)  1 B 1.48, 1 P 1.56

Results
Energy relative to the elements ... -194 kJ/mol of atoms
Space-group type ... Pbca
Total DFT energy (no corrections) ... -584.07 eV for the cell shown
Size of the total moment ... 4.24 μB per cell